Entry 1:
VASP calculation (GGA-PBE) on a relaxed structure of HfCrAgS4.

```
14
Lattice="7.132 0.000 0.000 0.000 6.170 0.000 0.000 0.166 6.551" Properties=species:S:1:pos:R:3 pbc="T T T"
Hf 1.707 0.083 3.276
Hf 3.652 3.168 3.276
Cr 5.353 0.083 3.276
Cr 0.002 3.168 3.276
Ag 7.103 3.085 0.000
Ag 3.592 3.085 0.000
S 7.040 5.179 4.646
S 3.617 5.279 4.710
S 1.729 2.183 4.731
S 5.437 2.083 4.674
S 1.729 4.154 1.820
S 5.437 4.253 1.877
S 3.617 1.058 1.841
S 7.040 1.157 1.905
```

Its energy above the lowest structure with this stoichiometry is 15 meV per atom. For the formation energy, the calculation gives -1.22 eV per atom.


Entry 2:
VASP calculation (GGA-PBE) on a relaxed structure of NaYF4.

```
18
Lattice="6.060 0.000 0.000 3.023 6.337 0.000 3.022 2.298 5.913" Properties=species:S:1:pos:R:3 pbc="T T T"
Na 9.033 7.725 4.016
Na 6.087 3.543 1.152
Na 6.049 6.792 2.437
Y 9.077 6.329 0.027
Y 3.026 4.309 2.954
Y 6.051 4.757 5.392
F 5.123 6.812 4.828
F 2.128 2.650 1.619
F 5.327 4.460 3.195
F 2.305 0.307 0.026
F 7.707 5.765 4.121
F 4.682 1.636 0.899
F 7.495 3.171 4.333
F 7.583 5.244 1.436
F 3.829 2.274 3.747
F 3.964 4.280 0.749
F 9.718 6.446 2.257
F 9.765 4.493 5.238
```

For the formation energy, the calculation gives -3.96 eV per atom.


Entry 3:
VASP calculation (GGA-PBE) on a relaxed structure of LiOs2N3.

```
12
Lattice="-3.464 -4.313 0.749 4.035 1.449 4.009 -3.352 3.085 2.259" Properties=species:S:1:pos:R:3 pbc="T T T"
Li 1.070 2.519 3.846
Li -2.049 3.544 3.542
Os -1.296 0.477 2.945
Os -3.699 -1.204 1.674
Os -3.042 1.176 5.122
Os -0.639 2.858 6.392
N -2.900 1.638 3.235
N -1.402 1.073 6.229
N -0.579 -0.776 4.252
N -2.077 -0.211 1.258
N -0.364 3.806 4.769
N -0.078 1.764 2.258
```

For the formation energy, the calculation gives 0.12 eV per atom.